Crystalline Na9Mg5TaSi3S6O36 at its relaxed geometry, computed with PBE.

a = 15.5394 Å, b = 9.0099 Å, c = 22.3321 Å
α = 90.00°, β = 90.28°, γ = 90.00°
Space group Cc (No. 9)
Asymmetric unit:
Na (0.0000, 0.1329, 0.0000) (multiplicity 4)
Na (0.9999, 0.1670, 0.3324) (multiplicity 4)
Na (0.1541, 0.2953, 0.8378) (multiplicity 4)
Na (0.1604, 0.3668, 0.1634) (multiplicity 4)
Na (0.1610, 0.0147, 0.9185) (multiplicity 4)
Na (0.3043, 0.1950, 0.9988) (multiplicity 4)
Na (0.3200, 0.4924, 0.5884) (multiplicity 4)
Na (0.3266, 0.1415, 0.3277) (multiplicity 4)
Na (0.4821, 0.0074, 0.2463) (multiplicity 4)
Mg (0.1606, 0.0014, 0.0711) (multiplicity 4)
Mg (0.1610, 0.0109, 0.7711) (multiplicity 4)
Mg (0.3253, 0.4898, 0.9371) (multiplicity 4)
Mg (0.3412, 0.4923, 0.7395) (multiplicity 4)
Mg (0.4984, 0.0023, 0.1062) (multiplicity 4)
Ta (0.4972, 0.0089, 0.4028) (multiplicity 4)
Si (0.1479, 0.3542, 0.0114) (multiplicity 4)
Si (0.3278, 0.2034, 0.8392) (multiplicity 4)
Si (0.4725, 0.3586, 0.3408) (multiplicity 4)
S (0.0135, 0.1472, 0.1707) (multiplicity 4)
S (0.1613, 0.2971, 0.6717) (multiplicity 4)
S (0.1811, 0.3552, 0.3374) (multiplicity 4)
S (0.3092, 0.1494, 0.1701) (multiplicity 4)
S (0.3495, 0.1459, 0.5067) (multiplicity 4)
S (0.4969, 0.2891, 0.0069) (multiplicity 4)
O (0.0046, 0.3029, 0.4499) (multiplicity 4)
O (0.0052, 0.3131, 0.1683) (multiplicity 4)
O (0.0568, 0.0904, 0.1160) (multiplicity 4)
O (0.0678, 0.1161, 0.2248) (multiplicity 4)
O (0.0687, 0.0725, 0.8315) (multiplicity 4)
O (0.0760, 0.1191, 0.5108) (multiplicity 4)
O (0.0815, 0.4004, 0.9516) (multiplicity 4)
O (0.0819, 0.3923, 0.6685) (multiplicity 4)
O (0.0908, 0.4223, 0.3471) (multiplicity 4)
O (0.0979, 0.4134, 0.0690) (multiplicity 4)
O (0.1506, 0.1703, 0.0071) (multiplicity 4)
O (0.1543, 0.2093, 0.7279) (multiplicity 4)
O (0.1667, 0.1934, 0.3300) (multiplicity 4)
O (0.1696, 0.1990, 0.6190) (multiplicity 4)
O (0.2127, 0.4276, 0.2829) (multiplicity 4)
O (0.2347, 0.3795, 0.3902) (multiplicity 4)
O (0.2372, 0.3994, 0.6745) (multiplicity 4)
O (0.2424, 0.4268, 0.0040) (multiplicity 4)
O (0.2502, 0.0824, 0.8306) (multiplicity 4)
O (0.2562, 0.1129, 0.1162) (multiplicity 4)
O (0.2647, 0.0725, 0.5086) (multiplicity 4)
O (0.2676, 0.0894, 0.2253) (multiplicity 4)
O (0.3061, 0.2949, 0.8996) (multiplicity 4)
O (0.3125, 0.3149, 0.1734) (multiplicity 4)
O (0.3434, 0.3068, 0.4989) (multiplicity 4)
O (0.3545, 0.3072, 0.7838) (multiplicity 4)
O (0.3926, 0.0767, 0.4501) (multiplicity 4)
O (0.3964, 0.0837, 0.1652) (multiplicity 4)
O (0.4043, 0.1115, 0.5581) (multiplicity 4)
O (0.4060, 0.3583, 0.2854) (multiplicity 4)
O (0.4182, 0.0991, 0.8506) (multiplicity 4)
O (0.4210, 0.3883, 0.0017) (multiplicity 4)
O (0.4279, 0.4236, 0.6737) (multiplicity 4)
O (0.4337, 0.4212, 0.4028) (multiplicity 4)
O (0.4826, 0.1901, 0.0573) (multiplicity 4)
O (0.4899, 0.1702, 0.3492) (multiplicity 4)

Computed properties:
Formation energy from the elements in meV/atom: -2489
Total DFT energy (no corrections) in eV/atom: -6.2596